Record 1
This record from the Materials Project database describes a relaxed structure of Pm2CoIr. The functional is PBE.

Cell and atoms, written as POSCAR:
```
Pm2CoIr
1.0
0.000 3.496 3.496
3.496 0.000 3.496
3.496 3.496 0.000
Pm Co Ir
2 1 1
Cartesian
5.244 5.244 5.244
1.748 1.748 1.748
0.000 0.000 0.000
3.496 3.496 3.496
```

Output
Its space group is Fm-3m (225). As for the energy of formation: -0.310 eV/atom. As for the volume: 21.36 Å³/atom.

=====

Record 2
This record from the Materials Project database describes a relaxed structure of PmPrZn2. The functional is PBE.

Cell and atoms, written as POSCAR:
```
PmPrZn2
1.0
3.481 3.467 1.732
-1.362 3.457 3.652
1.914 -0.420 4.827
Pm Pr Zn
1 1 2
Cartesian
2.017 3.252 5.106
0.000 0.000 0.000
1.009 1.626 2.553
3.026 4.878 7.659
```

Output
Its space group is Fm-3m (225). As for the energy of formation: -0.316 eV/atom. As for the volume: 25.00 Å³/atom.

=====

Record 3
This record from the Materials Project database describes a relaxed structure of Nd2Si3Pd. The functional is PBE.

Cell and atoms, written as POSCAR:
```
Nd2Si3Pd
1.0
2.610 6.305 4.631
5.310 -5.844 -2.380
1.745 4.457 -7.050
Nd Si Pd
8 12 4
Cartesian
5.278 3.533 -4.185
4.388 1.384 -0.614
3.999 0.442 -6.455
5.667 4.475 1.656
7.881 0.668 -5.351
1.785 4.249 0.553
1.309 3.342 -5.288
0.436 1.114 -1.763
4.802 8.744 -3.578
4.863 -3.827 -1.221
3.491 5.576 -5.905
5.734 -1.603 -4.738
6.175 -0.659 1.106
3.932 6.521 -0.061
7.470 5.808 -4.774
7.045 1.564 -2.411
2.195 -0.890 -0.025
2.620 3.353 -2.387
3.066 1.333 -3.543
6.600 3.584 -1.256
5.235 6.659 -4.673
4.431 -1.742 -0.126
5.262 0.381 -3.485
4.403 4.536 -1.314
```

Output
Its space group is P6_3/mmc (194). As for the energy of formation: -0.898 eV/atom. As for the volume: 20.91 Å³/atom.

=====

Record 4
This record from the Materials Project database describes a relaxed structure of GdLuRu2. The functional is PBE.

Cell and atoms, written as POSCAR:
```
GdLuRu2
1.0
0.000 3.379 3.379
3.379 0.000 3.379
3.379 3.379 0.000
Gd Lu Ru
1 1 2
Cartesian
3.379 3.379 3.379
0.000 0.000 0.000
5.069 5.069 5.069
1.690 1.690 1.690
```

Output
Its space group is Fm-3m (225). As for the energy of formation: -0.354 eV/atom. As for the volume: 19.30 Å³/atom.

=====

Record 5
This record from the Materials Project database describes a relaxed structure of NdSi2Ir3. The functional is PBE.

Cell and atoms, written as POSCAR:
```
NdSi2Ir3
1.0
-2.812 3.636 4.902
2.812 -3.636 4.902
2.812 3.636 -4.902
Nd Si Ir
2 4 6
Cartesian
4.061 0.000 2.451
-1.249 3.636 2.451
1.138 0.000 0.782
1.674 3.636 4.120
1.138 0.000 4.120
1.674 3.636 0.782
1.406 1.818 2.451
1.406 -1.818 2.451
0.000 2.036 0.000
0.000 5.236 0.000
2.812 1.600 0.000
0.000 2.036 4.902
```

Output
Its space group is Imma (74). As for the energy of formation: -0.952 eV/atom. As for the volume: 16.70 Å³/atom.

=====

Record 6
This record from the Materials Project database describes a relaxed structure of LiTa3O8. The functional is PBE.

Cell and atoms, written as POSCAR:
```
LiTa3O8
1.0
-2.178 7.445 -0.589
-2.264 0.026 8.709
15.717 4.927 4.164
Li Ta O
8 24 64
Cartesian
10.257 3.722 9.121
6.185 6.679 10.174
6.879 2.504 6.213
5.492 6.174 6.357
6.231 2.015 2.424
2.092 4.956 3.531
1.124 0.411 1.039
-2.214 3.762 4.365
12.718 10.200 5.129
13.795 6.520 5.420
11.788 6.184 8.727
10.706 9.883 8.434
9.423 9.295 5.404
9.099 5.606 11.243
8.022 9.286 10.952
10.520 5.546 5.700
8.003 5.024 7.779
6.933 8.682 7.490
6.734 8.336 3.551
7.817 4.634 3.844
4.553 4.042 8.738
3.457 7.789 8.442
3.257 7.440 4.505
4.364 3.654 4.804
1.838 3.126 6.860
0.757 6.824 6.568
2.177 6.828 1.039
3.272 3.082 1.335
-0.523 6.268 3.528
0.590 2.462 3.829
-1.438 2.180 7.188
-2.527 5.903 6.894
-0.451 1.890 -0.060
-1.543 5.623 -0.355
13.401 6.506 9.730
12.196 10.624 9.405
14.588 4.715 5.662
13.122 8.302 5.038
11.633 8.137 8.463
12.228 6.090 6.763
11.110 9.912 6.461
12.071 4.233 8.871
9.669 9.480 10.004
10.631 6.190 10.264
12.191 5.763 4.365
11.005 9.817 4.044
9.947 5.698 7.725
11.017 3.695 5.972
8.936 9.156 7.452
8.404 7.421 11.358
9.976 7.413 5.444
9.684 3.703 11.009
9.801 4.980 3.756
8.596 9.099 3.430
6.986 8.559 9.417
7.900 5.434 9.664
8.748 3.195 8.039
8.508 4.926 5.806
7.390 8.748 5.504
7.095 6.720 7.329
7.541 6.542 3.436
7.991 2.657 4.037
6.236 4.138 7.730
4.970 8.465 7.388
5.049 4.348 10.640
3.958 8.075 10.345
5.209 7.655 4.598
6.122 4.535 4.845
4.353 6.012 8.531
4.809 2.129 9.138
5.265 1.955 5.248
2.783 7.372 6.474
3.845 3.742 6.761
3.627 5.484 4.538
4.450 3.223 2.909
3.178 7.570 2.565
1.579 7.022 8.557
2.554 3.691 8.820
2.383 1.260 7.113
3.907 1.238 1.198
1.257 6.945 4.501
1.340 4.977 6.589
2.640 4.964 1.615
2.413 2.994 4.813
-0.785 6.294 7.930
0.197 2.938 8.196
1.667 2.399 2.191
0.420 6.660 1.854
0.288 4.442 3.709
-0.938 6.235 5.496
0.139 2.553 5.787
0.827 0.560 4.026
-0.737 0.388 7.639
-2.083 3.995 6.822
-2.021 5.391 2.665
-1.106 2.265 2.913
```

Output
Its offset from the most stable computed form is 0.271 eV per formula unit. Its space group is Pm (6). As for the energy of formation: -3.231 eV/atom. As for the volume: 12.39 Å³/atom.

=====

Record 7
This record from the Materials Project database describes a relaxed structure of ZnGaNi2. The functional is PBE.

Cell and atoms, written as POSCAR:
```
ZnGaNi2
1.0
0.000 2.899 2.899
2.899 0.000 2.899
2.899 2.899 0.000
Zn Ga Ni
1 1 2
Cartesian
0.000 0.000 0.000
2.899 2.899 2.899
1.449 1.449 1.449
4.348 4.348 4.348
```

Output
Its space group is Fm-3m (225). As for the energy of formation: -0.335 eV/atom. As for the volume: 12.18 Å³/atom.